Below is crystalline SmLuHg2 at its relaxed geometry, with properties calculated at the r2SCAN level.

ΔH_f (0 K) (meV per atom): -553.9
Mass density (g cm⁻³): 11.9

Cell lengths 7.3975, 7.3975, 7.3975 Å; angles 90.00, 90.00, 90.00 degrees
Space group Fm-3m (No. 225)
One atom of each set of equivalent atoms:
Sm: 0.0000 0.0000 0.0000 x4
Lu: 0.0000 0.0000 0.5000 x4
Hg: 0.2500 0.2500 0.2500 x8